Entry 1:
Ag13Bi15I64: optimized geometry, PBE.

Lattice parameters (Å, degrees): 9.0342 9.2744 74.7216 58.01 58.15 58.11
Fractional coordinates of all 92 atoms:
Ag: 0.5255 0.0029 0.7456
Ag: 0.0041 0.4828 0.3779
Ag: 0.4999 0.9999 0.5000
Ag: 0.0064 0.5248 0.8704
Ag: 0.0043 0.5135 0.6225
Ag: 0.4570 0.9933 0.2552
Ag: 0.4862 0.9937 0.1283
Ag: 0.0070 0.5210 0.7459
Ag: 0.4895 0.0023 0.3769
Ag: 0.5148 0.0024 0.6225
Ag: 0.5287 0.0000 0.8705
Ag: 0.9990 0.5009 0.4999
Ag: 0.5066 0.0014 0.9987
I: 0.7576 0.2506 0.8446
I: 0.2566 0.2602 0.6004
I: 0.7490 0.7449 0.5237
I: 0.2400 0.2458 0.9048
I: 0.2370 0.7763 0.0308
I: 0.2200 0.7220 0.4714
I: 0.7628 0.2633 0.6554
I: 0.7579 0.2524 0.7197
I: 0.7450 0.2304 0.5935
I: 0.2408 0.2420 0.8491
I: 0.2421 0.2510 0.0954
I: 0.2376 0.7539 0.9076
I: 0.2545 0.7602 0.8449
I: 0.7551 0.2383 0.2188
I: 0.2369 0.2383 0.7797
I: 0.2278 0.7246 0.3460
I: 0.7538 0.7570 0.5911
I: 0.2778 0.2467 0.2216
I: 0.7556 0.2242 0.0948
I: 0.2496 0.2412 0.0296
I: 0.7546 0.7539 0.7204
I: 0.7584 0.7567 0.0293
I: 0.2392 0.2436 0.9708
I: 0.7286 0.2874 0.0309
I: 0.2553 0.7405 0.0963
I: 0.7515 0.2526 0.2815
I: 0.7521 0.2541 0.1544
I: 0.2366 0.7502 0.7839
I: 0.7436 0.2359 0.7836
I: 0.2375 0.7619 0.2826
I: 0.7794 0.2788 0.5285
I: 0.7251 0.2052 0.3473
I: 0.7435 0.7422 0.3993
I: 0.7538 0.7595 0.9027
I: 0.7548 0.2302 0.9692
I: 0.7450 0.2385 0.9082
I: 0.2364 0.2655 0.2817
I: 0.7574 0.7489 0.3401
I: 0.2450 0.2386 0.5356
I: 0.2591 0.7732 0.6551
I: 0.7587 0.7458 0.1549
I: 0.7553 0.7581 0.7768
I: 0.7567 0.7604 0.4643
I: 0.7387 0.7580 0.9708
I: 0.2423 0.2422 0.7237
I: 0.2715 0.7869 0.5285
I: 0.2587 0.2480 0.1539
I: 0.7427 0.7639 0.2755
I: 0.7668 0.2652 0.4061
I: 0.7538 0.7609 0.0948
I: 0.2552 0.7602 0.7198
I: 0.2497 0.2550 0.4765
I: 0.2588 0.7250 0.9672
I: 0.7297 0.2130 0.4713
I: 0.2433 0.2390 0.6577
I: 0.2692 0.7834 0.4045
I: 0.2364 0.2460 0.4112
I: 0.2580 0.7570 0.2178
I: 0.2449 0.2473 0.3528
I: 0.7491 0.7488 0.8464
I: 0.2569 0.7607 0.1544
I: 0.7669 0.7508 0.2175
I: 0.7589 0.7523 0.6468
I: 0.2398 0.7402 0.5932
Bi: 0.9942 0.0002 0.4380
Bi: 0.0027 0.0050 0.8092
Bi: 0.0046 0.0035 0.5625
Bi: 0.0122 0.0146 0.9331
Bi: 0.0074 0.0101 0.6821
Bi: 0.9858 0.9899 0.1954
Bi: 0.0008 0.9978 0.7478
Bi: 0.9936 0.5095 0.9987
Bi: 0.0075 0.9911 0.1266
Bi: 0.9949 0.0047 0.9994
Bi: 0.0041 0.4901 0.1264
Bi: 0.9940 0.4720 0.2537
Bi: 0.0001 0.9973 0.8734
Bi: 0.9934 0.0065 0.0624
Bi: 0.9995 0.9601 0.3160

---

Entry 2:
Ti3Au: optimized geometry, PBE.

Lattice parameters (Å, degrees): 5.1133 5.1133 5.1133 90.00 90.00 90.00
Fractional coordinates of all 8 atoms:
Ti: 0.2500 0.0000 0.5000
Ti: 0.0000 0.5000 0.2500
Ti: 0.7500 0.0000 0.5000
Ti: 0.5000 0.2500 0.0000
Ti: 0.5000 0.7500 0.0000
Ti: 0.0000 0.5000 0.7500
Au: 0.0000 0.0000 0.0000
Au: 0.5000 0.5000 0.5000

---

Entry 3:
NaHCO3: optimized geometry, PBE.

Lattice parameters (Å, degrees): 9.7818 3.5387 8.1113 67.81 90.00 90.00
Fractional coordinates of all 24 atoms:
O: 0.3261 0.4950 0.4402
O: 0.1739 0.4950 0.9402
O: 0.8684 0.8173 0.4255
O: 0.3384 0.9871 0.7049
O: 0.6739 0.5050 0.5598
O: 0.8384 0.0129 0.7951
O: 0.1616 0.9871 0.2049
O: 0.6616 0.0129 0.2951
O: 0.6316 0.8173 0.9255
O: 0.1316 0.1827 0.5745
O: 0.8261 0.5050 0.0598
O: 0.3684 0.1827 0.0745
Na: 0.4970 0.4265 0.7860
Na: 0.5030 0.5735 0.2140
Na: 0.0030 0.4265 0.2860
Na: 0.9970 0.5735 0.7140
H: 0.2556 0.6833 0.3523
H: 0.7444 0.3167 0.6477
H: 0.7556 0.3167 0.1477
H: 0.2444 0.6833 0.8523
C: 0.2392 0.2089 0.0779
C: 0.7392 0.7911 0.4221
C: 0.2608 0.2089 0.5779
C: 0.7608 0.7911 0.9221

---

Entry 4:
UV2: optimized geometry, PBE.

Lattice parameters (Å, degrees): 4.7231 4.7231 2.5907 90.00 90.00 120.00
Fractional coordinates of all 3 atoms:
V: 0.3333 0.6667 0.5000
V: 0.6667 0.3333 0.5000
U: 0.0000 0.0000 0.0000

---

E list, top to bottom, in eV per cell: -219.0, -56.7, -151.4, -28.0